# KNaV4H4O11

A relaxed KNaV4H4O11 crystal (GGA+U, Materials Project).

a = 8.375 Å, b = 8.421 Å, c = 9.067 Å
α = 90.10°, β = 62.49°, γ = 90.22°
Element x y z (fractional)
V (0.200, 0.962, 0.408)
Na (0.847, 0.750, 0.305)
H (0.134, 0.535, 0.096)
O (0.646, 0.960, 0.496)
H (0.770, 0.965, 0.096)
O (0.256, 0.750, 0.489)
O (0.142, 0.460, 0.504)
V (0.800, 0.038, 0.592)
H (0.130, 0.179, 0.025)
O (0.455, 0.355, 0.509)
O (0.305, 0.975, 0.203)
Na (0.153, 0.250, 0.695)
O (0.311, 0.838, 0.791)
V (0.999, 0.344, 0.416)
V (0.392, 0.538, 0.408)
H (0.230, 0.035, 0.904)
O (0.102, 0.338, 0.209)
O (0.898, 0.662, 0.791)
O (0.858, 0.540, 0.496)
O (0.545, 0.645, 0.491)
O (0.964, 0.855, 0.491)
O (0.508, 0.475, 0.797)
H (0.866, 0.465, 0.904)
V (0.001, 0.656, 0.584)
O (0.205, 0.150, 0.909)
O (0.795, 0.850, 0.091)
O (0.036, 0.145, 0.509)
V (0.608, 0.462, 0.592)
O (0.114, 0.650, 0.091)
V (0.415, 0.844, 0.584)
H (0.870, 0.821, 0.975)
O (0.886, 0.350, 0.909)
H (0.845, 0.321, 0.025)
O (0.695, 0.025, 0.797)
O (0.689, 0.162, 0.209)
H (0.155, 0.679, 0.975)
K (0.488, 0.250, 0.025)
O (0.492, 0.525, 0.203)
O (0.354, 0.040, 0.504)
K (0.512, 0.750, 0.975)
O (0.744, 0.250, 0.511)
V (0.585, 0.156, 0.416)

As for the space group: C2/c (15). The calculation puts the size of the total moment at 8.003 μB per cell. For the formation energy, the calculation gives -2.115 eV per atom. For the theoretical density, the calculation gives 2.611 g/cm³.